No. 1
The following is a PBE calculation of a relaxed CeSe2 crystal, from the Materials Project database.

Crystal system: tetragonal
Total energy after the MP2020 corrections (eV per atom): -6.0978
ΔE_f (kJ per mole of atoms): -172.66

Cell lengths 18.6886, 18.6886, 8.7973 Å; angles 90.00, 90.00, 90.00 degrees
With the nearest neighbours (Å) after each atom.
Space group I4_1/a (No. 88, origin choice 2)
Inequivalent atoms, fractional coordinates:
Ce1 0.1235 0.3740 0.4955 x16  6 Se 2.84-2.88
Ce2 0.1253 0.1226 0.2484 x16  6 Se 2.84-2.88
Se1 0.0269 0.1273 0.0028 x16  3 Ce 2.84-2.88
Se2 0.0294 0.1240 0.5005 x16  3 Ce 2.85-2.86
Se3 0.1235 0.4697 0.7485 x16  3 Ce 2.84-2.86
Se4 0.1290 0.4725 0.2492 x16  3 Ce 2.84-2.88

---

No. 2
The following is a PBE calculation of a relaxed Pd2N crystal, from the Materials Project database.

Energy above the most stable polymorph in this dataset (eV/f.u.): 0.25
Crystal system: orthorhombic
Total energy after the MP2020 corrections (eV per atom): -5.7103
ΔE_f (kJ per mole of atoms): 50.35

Cell lengths 4.8726, 5.4625, 2.9424 Å; angles 90.00, 90.00, 90.00 degrees
With the nearest neighbours (Å) after each atom.
Space group Pnnm (No. 58)
Inequivalent atoms, fractional coordinates:
Pd1 0.2326 0.1884 0.0000 x4  3 N 2.04-2.22
N1 0.0000 0.5000 0.0000 x2  6 Pd 2.04-2.22

---

No. 3
The following is a PBE calculation of a relaxed Li3CuF5 crystal, from the Materials Project database.

Crystal system: monoclinic
Total energy after the MP2020 corrections (eV per atom): -4.7960
ΔE_f (kJ per mole of atoms): -254.78

Cell lengths 10.8480, 5.9742, 6.8189 Å; angles 90.00, 107.75, 90.00 degrees
With the nearest neighbours (Å) after each atom.
Space group C2/c (No. 15)
Inequivalent atoms, fractional coordinates:
Li1 0.0000 0.0111 0.2500 x4  3 F 1.86-1.91
Li2 0.2501 0.1987 0.8276 x8  4 F 1.85-1.94
Cu1 0.0000 0.5000 0.0000 x4  4 F 1.89-1.98
F1 0.0000 0.3306 0.2500 x4  1 Li 1.91, 2 Cu 1.98
F2 0.1150 0.1558 0.9569 x8  3 Li 1.86-1.94
F3 0.1731 0.4116 0.6314 x8  2 Li 1.85-1.89, 1 Cu 1.89

---

> The lowest total energy after the MP2020 corrections belongs to which entry?

CeSe2

---

What did the second record say?
The following is a PBE calculation of a relaxed Pd2N crystal, from the Materials Project database.

Energy above the most stable polymorph in this dataset (eV/f.u.): 0.25
Crystal system: orthorhombic
Total energy after the MP2020 corrections (eV per atom): -5.7103
ΔE_f (kJ per mole of atoms): 50.35

Cell lengths 4.8726, 5.4625, 2.9424 Å; angles 90.00, 90.00, 90.00 degrees
With the nearest neighbours (Å) after each atom.
Space group Pnnm (No. 58)
Inequivalent atoms, fractional coordinates:
Pd1 0.2326 0.1884 0.0000 x4  3 N 2.04-2.22
N1 0.0000 0.5000 0.0000 x2  6 Pd 2.04-2.22